Below is a relaxed Mg6FeSiO8 crystal, with properties calculated at the PBE with a Hubbard U level.

Lattice parameters (Å, degrees): 4.3155 4.3155 8.5281 90.00 90.00 90.00
Closest atoms and distances in Å follow each position.
Positions (direct):
1 Mg 0.0000 0.0000 0.0000  6 O 2.15-2.16
2 Mg 0.0000 0.0000 0.5000  6 O 2.12-2.16
3 Mg 0.0000 0.5000 0.2421  6 O 2.06-2.20
4 Mg 0.0000 0.5000 0.7579  6 O 2.06-2.20
5 Mg 0.5000 0.0000 0.2421  6 O 2.06-2.20
6 Mg 0.5000 0.0000 0.7579  6 O 2.06-2.20
7 Fe 0.5000 0.5000 0.0000  4 O 2.16
8 Si 0.5000 0.5000 0.5000  2 O 1.84
9 O 0.0000 0.0000 0.2515  6 Mg 2.12-2.16
10 O 0.0000 0.0000 0.7485  6 Mg 2.12-2.16
11 O 0.0000 0.5000 0.0000  4 Mg 2.06-2.16, 2 Fe 2.16
12 O 0.0000 0.5000 0.5000  4 Mg 2.16-2.20, 2 Si 2.16
13 O 0.5000 0.0000 0.0000  4 Mg 2.06-2.16, 2 Fe 2.16
14 O 0.5000 0.0000 0.5000  4 Mg 2.16-2.20, 2 Si 2.16
15 O 0.5000 0.5000 0.2847  1 Si 1.84
16 O 0.5000 0.5000 0.7153  1 Si 1.84

Summary:
Calculated total energy (eV per atom): -5.95
Symmetry: No. 123
Total magnetization (μB/f.u.): 2.89
Total energy after the MP2020 corrections (eV/atom): -6.435

***

Below is a relaxed PrV2ZnO6 crystal, with properties calculated at the PBE with a Hubbard U level.

Lattice parameters (Å, degrees): 5.3843 5.5687 9.3971 90.00 124.88 90.00
Closest atoms and distances in Å follow each position.
Positions (direct):
1 Pr 0.0000 0.1958 0.0000  5 O 2.33-2.58
2 Pr 0.0000 0.8042 0.5000  5 O 2.33-2.58
3 V 0.2637 0.2659 0.7523  6 O 1.94-2.15
4 V 0.2637 0.7341 0.2523  6 O 1.94-2.15
5 V 0.7639 0.2737 0.2503  3 O 1.80-1.97
6 V 0.7639 0.7263 0.7503  3 O 1.80-1.97
7 Zn 0.5088 0.2131 0.4998  3 O 1.98-2.04
8 Zn 0.5088 0.7869 0.9998  3 O 1.98-2.04
9 O 0.0030 0.4583 0.1987  2 V 1.91-1.94
10 O 0.0030 0.5417 0.6987  2 V 1.91-1.94
11 O 0.1410 0.2275 0.4998  1 Zn 1.98, 2 V 2.06-2.08
12 O 0.1410 0.7725 0.9998  1 Zn 1.98, 2 V 2.06-2.08
13 O 0.4286 0.2697 0.0022  2 V 1.97-1.98
14 O 0.4286 0.7303 0.5022  2 V 1.97-1.98
15 O 0.5115 0.0524 0.3068  1 Zn 2.03, 2 V 2.10-2.12
16 O 0.5115 0.9476 0.8068  1 Zn 2.03, 2 V 2.10-2.12
17 O 0.6142 0.4757 0.7998  1 V 1.80
18 O 0.6142 0.5243 0.2998  1 V 1.80
19 O 0.8899 0.0455 0.6968  1 Zn 2.04, 2 V 2.07-2.15
20 O 0.8899 0.9545 0.1968  1 Zn 2.04, 2 V 2.07-2.15

Summary:
Calculated total energy (eV per atom): -7.28
Symmetry: No. 7
Total magnetization (μB/f.u.): 3.00
Total energy after the MP2020 corrections (eV/atom): -8.033

***

Below is a relaxed FeBiO3 crystal, with properties calculated at the PBE with a Hubbard U level.

Lattice parameters (Å, degrees): 5.7047 5.7047 5.7047 58.97 58.97 58.97
Closest atoms and distances in Å follow each position.
Positions (direct):
1 Fe 0.0000 0.0000 0.0000  6 O 1.99-2.12
2 Fe 0.5000 0.5000 0.5000  6 O 1.99-2.12
3 Bi 0.2204 0.2204 0.2204  6 O 2.33-2.48
4 Bi 0.7204 0.7204 0.7204  6 O 2.33-2.48
5 O 0.1838 0.7830 0.3309  2 Fe 1.99-2.12
6 O 0.2830 0.6838 0.8309  2 Fe 1.99-2.12
7 O 0.3309 0.1838 0.7830  2 Fe 1.99-2.12
8 O 0.6838 0.8309 0.2830  2 Fe 1.99-2.12
9 O 0.7830 0.3309 0.1838  2 Fe 1.99-2.12
10 O 0.8309 0.2830 0.6838  2 Fe 1.99-2.12

Summary:
Piezoelectric modulus e_max (C/m²): 4.37
Calculated total energy (eV per atom): -6.25
Symmetry: No. 161
Total energy after the MP2020 corrections (eV/atom): -7.114

***

Below is a relaxed V3FeNi2P6O24 crystal, with properties calculated at the PBE with a Hubbard U level.

Lattice parameters (Å, degrees): 8.4560 8.4560 8.4560 61.22 61.22 61.22
Closest atoms and distances in Å follow each position.
Positions (direct):
1 V 0.0000 0.0000 0.0000  6 O 1.93-2.03
2 V 0.2151 0.2151 0.2151  6 O 1.91-2.02
3 V 0.5003 0.5003 0.5003  6 O 1.92-2.02
4 Fe 0.7145 0.7145 0.7145  6 O 1.94-2.08
5 Ni 0.3576 0.3576 0.3576  6 O 2.16-2.17
6 Ni 0.8572 0.8572 0.8572  6 O 2.13-2.16
7 P 0.1077 0.8143 0.4035  4 O 1.53-1.57
8 P 0.3135 0.6084 0.9023  4 O 1.51-1.57
9 P 0.4035 0.1077 0.8143  4 O 1.53-1.57
10 P 0.6084 0.9023 0.3135  4 O 1.51-1.57
11 P 0.8143 0.4035 0.1077  4 O 1.53-1.57
12 P 0.9023 0.3135 0.6084  4 O 1.51-1.57
13 O 0.0423 0.8538 0.2438  1 P 1.53
14 O 0.1011 0.2960 0.4466  1 P 1.57
15 O 0.1140 0.7673 0.9176  1 P 1.56
16 O 0.1805 0.9716 0.3578  1 P 1.54
17 O 0.2438 0.0423 0.8538  1 P 1.53
18 O 0.2693 0.6153 0.4177  1 P 1.57
19 O 0.2960 0.4466 0.1011  1 P 1.57
20 O 0.3541 0.5417 0.7423  1 P 1.54
21 O 0.3578 0.1805 0.9716  1 P 1.54
22 O 0.4177 0.2693 0.6153  1 P 1.57
23 O 0.4466 0.1011 0.2960  1 P 1.57
24 O 0.4697 0.6739 0.8655  1 P 1.51
25 O 0.5417 0.7423 0.3541  1 P 1.54
26 O 0.6002 0.9498 0.8027  1 P 1.55
27 O 0.6153 0.4177 0.2693  1 P 1.57
28 O 0.6739 0.8655 0.4697  1 P 1.51
29 O 0.7423 0.3541 0.5417  1 P 1.54
30 O 0.7673 0.9176 0.1140  1 P 1.56
31 O 0.8027 0.6002 0.9498  1 P 1.55
32 O 0.8538 0.2438 0.0423  1 P 1.53
33 O 0.8655 0.4697 0.6739  1 P 1.51
34 O 0.9176 0.1140 0.7673  1 P 1.56
35 O 0.9498 0.8027 0.6002  1 P 1.55
36 O 0.9716 0.3578 0.1805  1 P 1.54

Summary:
Calculated total energy (eV per atom): -7.16
Symmetry: No. 146
Total magnetization (μB/f.u.): 12.87
Total energy after the MP2020 corrections (eV/atom): -7.961

***

Number 1: ΔH_f (0 K) -3848.3 kJ/mol of formula units. Number 2: ΔH_f (0 K) -2550.8 kJ/mol of formula units. Number 3: ΔH_f (0 K) -807.0 kJ/mol of formula units. Number 4: ΔH_f (0 K) -8499.8 kJ/mol of formula units.